(1)
# Fe3O2F4 (GGA+U, relaxed)
# Excess energy over the best structure of this formula in the dataset: 40 meV/atom
# Theoretical density: 4.47 g/cm³
# Calculated volume: 409.2 Å³ per cell
# Calculated formation energy: -2.1576 eV/atom
# Raw total energy: -5.8214 eV per atom
data_Fe3O2F4
_space_group_name_H-M_alt 'C 1 2 1'
_space_group_IT_number 5
_space_group_name_Hall 'C 2y'
_cell_length_a 6.593
_cell_length_b 6.619
_cell_length_c 9.376
_cell_angle_alpha 90.00
_cell_angle_beta 90.08
_cell_angle_gamma 90.00
loop_
_atom_site_label
_atom_site_type_symbol
_atom_site_fract_x
_atom_site_fract_y
_atom_site_fract_z
_atom_site_occupancy
Fe1 Fe 0.000 0.000 0.000 1
Fe2 Fe 0.000 0.485 0.500 1
Fe3 Fe 0.003 0.023 0.326 1
Fe4 Fe 0.031 0.494 0.822 1
O1 O 0.002 0.301 0.672 1
O2 O 0.182 0.009 0.170 1
F1 F 0.000 0.315 0.000 1
F2 F 0.000 0.685 0.000 1
F3 F 0.004 0.715 0.669 1
F4 F 0.189 0.010 0.503 1
F5 F 0.214 0.010 0.828 1

---

(2)
# Fe2O3F (GGA+U, relaxed)
# Excess energy over the best structure of this formula in the dataset: 9 meV/atom
# Theoretical density: 4.50 g/cm³
# Calculated volume: 396.0 Å³ per cell
# Calculated formation energy: -1.6641 eV/atom
# Raw total energy: -6.1080 eV per atom
data_Fe2O3F
_space_group_name_H-M_alt 'A m m 2'
_space_group_IT_number 38
_space_group_name_Hall 'A 2 -2'
_cell_length_a 9.005
_cell_length_b 6.394
_cell_length_c 6.877
_cell_angle_alpha 90.00
_cell_angle_beta 90.00
_cell_angle_gamma 90.00
loop_
_atom_site_label
_atom_site_type_symbol
_atom_site_fract_x
_atom_site_fract_y
_atom_site_fract_z
_atom_site_occupancy
Fe1 Fe 0.000 0.000 0.000 1
Fe2 Fe 0.167 0.000 0.533 1
Fe3 Fe 0.333 0.000 0.064 1
Fe4 Fe 0.500 0.000 0.524 1
O1 O 0.000 0.000 0.711 1
O2 O 0.167 0.193 0.031 1
O3 O 0.329 0.000 0.353 1
O4 O 0.500 0.192 0.048 1
F1 F 0.000 0.000 0.331 1
F2 F 0.336 0.000 0.735 1

---

(3)
# Fe6OF11 (GGA+U, relaxed)
# Excess energy over the best structure of this formula in the dataset: 25 meV/atom
# Theoretical density: 4.10 g/cm³
# Calculated volume: 453.7 Å³ per cell
# Calculated formation energy: -2.4573 eV/atom
# Raw total energy: -5.6531 eV per atom
data_Fe6OF11
_space_group_name_H-M_alt 'A m m 2'
_space_group_IT_number 38
_space_group_name_Hall 'A 2 -2'
_cell_length_a 9.693
_cell_length_b 6.869
_cell_length_c 6.814
_cell_angle_alpha 90.00
_cell_angle_beta 90.00
_cell_angle_gamma 90.00
loop_
_atom_site_label
_atom_site_type_symbol
_atom_site_fract_x
_atom_site_fract_y
_atom_site_fract_z
_atom_site_occupancy
Fe1 Fe 0.000 0.000 0.000 1
Fe2 Fe 0.151 0.000 0.529 1
Fe3 Fe 0.332 0.000 0.023 1
Fe4 Fe 0.500 0.000 0.520 1
O1 O 0.000 0.000 0.714 1
F1 F 0.000 0.000 0.305 1
F2 F 0.170 0.207 0.019 1
F3 F 0.326 0.000 0.326 1
F4 F 0.328 0.000 0.718 1
F5 F 0.500 0.202 0.021 1